Entry 1:
Below is a relaxed La3Co2Sn7 crystal, with properties calculated at the r2SCAN level.

Spin magnetization, μB/f.u.: 0.0
Calculated formation energy, meV/atom: -564
Calculated volume, Å³/atom: 24.65

Geometry as POSCAR:
```
La3Co2Sn7
1.0
2.302 -13.871 0.000
2.302 13.871 0.000
0.000 0.000 4.631
La Co Sn
3 2 7
direct
0.000 0.000 0.000
0.315 0.685 0.500
0.685 0.315 0.500
0.128 0.872 0.000
0.872 0.128 0.000
0.091 0.909 0.500
0.217 0.783 0.000
0.409 0.591 0.000
0.500 0.500 0.500
0.591 0.409 0.000
0.783 0.217 0.000
0.909 0.091 0.500
```



Entry 2:
Below is a relaxed RbNb6Cl15 crystal, with properties calculated at the r2SCAN level.

Spin magnetization, μB/f.u.: 0.0
Calculated formation energy, meV/atom: -1510
Calculated volume, Å³/atom: 26.83

Geometry as POSCAR:
```
RbNb6Cl15
1.0
18.170 0.000 0.000
0.000 13.619 0.000
0.000 0.000 9.540
Rb Nb Cl
4 24 60
direct
0.250 0.247 0.185
0.250 0.753 0.185
0.750 0.247 0.815
0.750 0.753 0.815
0.030 0.108 0.856
0.030 0.892 0.856
0.105 0.000 0.080
0.169 0.392 0.677
0.169 0.608 0.677
0.250 0.500 0.462
0.250 0.500 0.890
0.331 0.392 0.677
0.331 0.608 0.677
0.395 0.000 0.080
0.470 0.108 0.856
0.470 0.892 0.856
0.530 0.108 0.144
0.530 0.892 0.144
0.605 0.000 0.920
0.669 0.392 0.323
0.669 0.608 0.323
0.750 0.500 0.110
0.750 0.500 0.538
0.831 0.392 0.323
0.831 0.608 0.323
0.895 0.000 0.920
0.970 0.108 0.144
0.970 0.892 0.144
0.000 0.253 0.000
0.000 0.747 0.000
0.060 0.500 0.677
0.066 0.250 0.674
0.066 0.750 0.674
0.069 0.000 0.663
0.091 0.126 0.265
0.091 0.874 0.265
0.153 0.375 0.420
0.153 0.625 0.420
0.154 0.375 0.933
0.154 0.625 0.933
0.160 0.124 0.924
0.160 0.876 0.924
0.250 0.000 0.183
0.250 0.247 0.668
0.250 0.500 0.177
0.250 0.753 0.668
0.340 0.124 0.924
0.340 0.876 0.924
0.346 0.375 0.933
0.346 0.625 0.933
0.347 0.375 0.420
0.347 0.625 0.420
0.409 0.126 0.265
0.409 0.874 0.265
0.431 0.000 0.663
0.434 0.250 0.674
0.434 0.750 0.674
0.440 0.500 0.677
0.500 0.253 0.000
0.500 0.747 0.000
0.560 0.500 0.323
0.566 0.250 0.326
0.566 0.750 0.326
0.569 0.000 0.337
0.591 0.126 0.735
0.591 0.874 0.735
0.653 0.375 0.580
0.653 0.625 0.580
0.654 0.375 0.067
0.654 0.625 0.067
0.660 0.124 0.076
0.660 0.876 0.076
0.750 0.000 0.817
0.750 0.247 0.332
0.750 0.500 0.823
0.750 0.753 0.332
0.840 0.124 0.076
0.840 0.876 0.076
0.846 0.375 0.067
0.846 0.625 0.067
0.847 0.375 0.580
0.847 0.625 0.580
0.909 0.126 0.735
0.909 0.874 0.735
0.931 0.000 0.337
0.934 0.250 0.326
0.934 0.750 0.326
0.940 0.500 0.323
```



Entry 3:
Below is a relaxed Sc3SnC crystal, with properties calculated at the r2SCAN level.

Spin magnetization, μB/f.u.: 0.0
Calculated formation energy, meV/atom: -883
Calculated volume, Å³/atom: 18.60

Geometry as POSCAR:
```
Sc3SnC
1.0
4.530 0.000 0.000
0.000 4.530 0.000
0.000 0.000 4.530
Sc Sn C
3 1 1
direct
0.000 0.000 0.500
0.000 0.500 0.000
0.500 0.000 0.000
0.500 0.500 0.500
0.000 0.000 0.000
```



Entry 4:
Below is a relaxed Pr27Se40 crystal, with properties calculated at the r2SCAN level.

Spin magnetization, μB/f.u.: 0.0
Calculated formation energy, meV/atom: -2190
Calculated volume, Å³/atom: 27.25

Geometry as POSCAR:
```
Pr27Se40
1.0
7.800 0.000 0.000
-0.053 12.737 0.000
-2.563 -6.369 18.380
Pr Se
27 40
direct
0.000 0.000 0.000
0.007 0.358 0.075
0.044 0.452 0.651
0.084 0.787 0.801
0.120 0.514 0.881
0.142 0.989 0.457
0.193 0.810 0.597
0.236 0.267 0.253
0.313 0.317 0.474
0.387 0.615 0.202
0.407 0.955 0.267
0.431 0.061 0.845
0.485 0.384 0.001
0.509 0.101 0.075
0.537 0.583 0.648
0.584 0.404 0.798
0.609 0.757 0.880
0.632 0.851 0.451
0.689 0.183 0.604
0.715 0.906 0.673
0.741 0.385 0.251
0.784 0.209 0.399
0.815 0.561 0.472
0.837 0.666 0.051
0.891 0.981 0.201
0.926 0.711 0.281
0.949 0.184 0.844
0.000 0.744 0.943
0.002 0.748 0.446
0.005 0.380 0.374
0.030 0.217 0.530
0.100 0.491 0.241
0.100 0.988 0.743
0.107 0.782 0.177
0.138 0.114 0.333
0.199 0.543 0.550
0.201 0.536 0.048
0.206 0.184 0.976
0.229 0.019 0.138
0.306 0.585 0.776
0.306 0.806 0.346
0.307 0.298 0.849
0.336 0.918 0.930
0.407 0.347 0.644
0.408 0.339 0.145
0.420 0.982 0.575
0.434 0.812 0.734
0.501 0.102 0.449
0.506 0.588 0.944
0.520 0.382 0.374
0.537 0.710 0.537
0.607 0.140 0.244
0.617 0.140 0.747
0.624 0.784 0.178
0.640 0.613 0.331
0.704 0.182 0.975
0.710 0.400 0.545
0.714 0.899 0.047
0.731 0.514 0.132
0.799 0.942 0.847
0.802 0.586 0.775
0.807 0.947 0.350
0.835 0.411 0.933
0.902 0.196 0.146
0.902 0.982 0.573
0.909 0.695 0.647
0.931 0.319 0.739
```



Entry 5:
Below is a relaxed Sr crystal, with properties calculated at the r2SCAN level.

E above lowest polymorph, meV/atom: 61.4
Spin magnetization, μB/f.u.: 0.0
Calculated formation energy, meV/atom: 61
Calculated volume, Å³/atom: 55.45

Geometry as POSCAR:
```
Sr
1.0
4.804 0.000 0.000
0.000 4.804 0.000
0.000 0.000 4.804
Sr
2
direct
0.000 0.000 0.000
0.500 0.500 0.500
```



Entry 6:
Below is a relaxed ReO2F3 crystal, with properties calculated at the r2SCAN level.

E above lowest polymorph, meV/atom: 0.0
Spin magnetization, μB/f.u.: 0.0
Calculated formation energy, meV/atom: -2026
Calculated volume, Å³/atom: 13.81

Geometry as POSCAR:
```
ReO2F3
1.0
5.460 0.000 0.000
0.000 4.894 0.000
-1.957 0.000 12.406
Re O F
4 8 12
direct
0.180 0.212 0.367
0.180 0.288 0.867
0.820 0.712 0.133
0.820 0.788 0.633
0.244 0.092 0.978
0.244 0.408 0.478
0.342 0.576 0.903
0.342 0.924 0.403
0.658 0.076 0.597
0.658 0.424 0.097
0.756 0.592 0.522
0.756 0.908 0.022
0.043 0.027 0.215
0.043 0.473 0.715
0.131 0.595 0.109
0.131 0.905 0.609
0.400 0.135 0.785
0.400 0.365 0.285
0.600 0.635 0.715
0.600 0.865 0.215
0.869 0.095 0.391
0.869 0.405 0.891
0.957 0.527 0.285
0.957 0.973 0.785
```



Entry 7:
Below is a relaxed Y4Zr3O12 crystal, with properties calculated at the r2SCAN level.

E above lowest polymorph, meV/atom: 7.1
Spin magnetization, μB/f.u.: 0.0
Calculated formation energy, meV/atom: -3870
Calculated volume, Å³/atom: 13.10

Geometry as POSCAR:
```
Y4Zr3O12
1.0
6.377 0.000 0.000
-1.076 6.297 0.000
-1.030 -1.170 6.197
Y Zr O
4 3 12
direct
0.000 0.000 0.000
0.091 0.253 0.555
0.392 0.782 0.724
0.558 0.080 0.255
0.312 0.530 0.165
0.702 0.394 0.862
0.839 0.700 0.470
0.018 0.354 0.954
0.105 0.951 0.678
0.114 0.574 0.421
0.272 0.228 0.274
0.277 0.808 0.049
0.381 0.446 0.803
0.521 0.783 0.424
0.625 0.080 0.918
0.644 0.484 0.180
0.754 0.320 0.548
0.771 0.705 0.784
0.876 0.955 0.298
```



Entry 8:
Below is a relaxed Zr4CN3 crystal, with properties calculated at the r2SCAN level.

Spin magnetization, μB/f.u.: 0.0
Calculated formation energy, meV/atom: -1764
Calculated volume, Å³/atom: 12.34

Geometry as POSCAR:
```
Zr4CN3
1.0
1.633 0.943 10.677
-1.633 0.943 10.677
0.000 -1.886 10.677
Zr C N
4 1 3
direct
0.125 0.125 0.125
0.374 0.374 0.374
0.626 0.626 0.626
0.875 0.875 0.875
0.500 0.500 0.500
0.000 0.000 0.000
0.251 0.251 0.251
0.749 0.749 0.749
```



Entry 9:
Below is a relaxed Yb3Si crystal, with properties calculated at the r2SCAN level.

Spin magnetization, μB/f.u.: 0.1
Calculated formation energy, meV/atom: -283
Calculated volume, Å³/atom: 23.18

Geometry as POSCAR:
```
Yb3Si
1.0
6.466 0.000 0.000
-3.233 5.599 0.000
0.000 0.000 5.123
Yb Si
6 2
direct
0.174 0.348 0.250
0.174 0.826 0.250
0.348 0.174 0.750
0.652 0.826 0.250
0.826 0.174 0.750
0.826 0.652 0.750
0.333 0.667 0.750
0.667 0.333 0.250
```



Entry 10:
Below is a relaxed NaMo6O17 crystal, with properties calculated at the r2SCAN level.

Spin magnetization, μB/f.u.: 0.0
Calculated formation energy, meV/atom: -2173
Calculated volume, Å³/atom: 14.40

Geometry as POSCAR:
```
NaMo6O17
1.0
9.537 0.000 0.000
0.000 5.523 0.000
-0.165 0.000 13.125
Na Mo O
2 12 34
direct
0.074 0.250 0.100
0.926 0.750 0.900
0.080 0.250 0.800
0.085 0.250 0.360
0.265 0.750 0.508
0.305 0.750 0.004
0.402 0.250 0.184
0.424 0.250 0.662
0.576 0.750 0.338
0.598 0.750 0.816
0.695 0.250 0.996
0.735 0.250 0.492
0.915 0.750 0.640
0.920 0.750 0.200
0.009 0.008 0.249
0.009 0.492 0.249
0.058 0.250 0.930
0.085 0.750 0.586
0.167 0.005 0.426
0.167 0.495 0.426
0.174 0.750 0.914
0.249 0.250 0.259
0.258 0.250 0.762
0.287 0.010 0.084
0.287 0.490 0.084
0.343 0.000 0.588
0.343 0.500 0.588
0.417 0.750 0.418
0.470 0.750 0.942
0.491 0.004 0.243
0.491 0.496 0.243
0.509 0.504 0.757
0.509 0.996 0.757
0.530 0.250 0.058
0.583 0.250 0.582
0.657 0.000 0.412
0.657 0.500 0.412
0.713 0.510 0.916
0.713 0.990 0.916
0.742 0.750 0.238
0.751 0.750 0.741
0.826 0.250 0.086
0.833 0.505 0.574
0.833 0.995 0.574
0.915 0.250 0.414
0.942 0.750 0.070
0.991 0.508 0.751
0.991 0.992 0.751
```



Entry 11:
Below is a relaxed Dy2Se3 crystal, with properties calculated at the r2SCAN level.

Spin magnetization, μB/f.u.: 0.0
Calculated formation energy, meV/atom: -2163
Calculated volume, Å³/atom: 24.44

Geometry as POSCAR:
```
Dy2Se3
1.0
11.095 0.000 0.000
0.000 4.008 0.000
0.000 0.000 10.990
Dy Se
8 12
direct
0.013 0.250 0.188
0.193 0.250 0.502
0.307 0.750 0.002
0.487 0.750 0.688
0.513 0.250 0.312
0.693 0.250 0.998
0.807 0.750 0.498
0.987 0.750 0.812
0.045 0.750 0.374
0.118 0.250 0.944
0.226 0.750 0.695
0.274 0.250 0.195
0.382 0.750 0.444
0.455 0.250 0.874
0.545 0.750 0.126
0.618 0.250 0.556
0.726 0.750 0.805
0.774 0.250 0.305
0.882 0.750 0.056
0.955 0.250 0.626
```



Entry 12:
Below is a relaxed MgAg2 crystal, with properties calculated at the r2SCAN level.

E above lowest polymorph, meV/atom: 9.2
Spin magnetization, μB/f.u.: 0.0
Calculated formation energy, meV/atom: -137
Calculated volume, Å³/atom: 17.67

Geometry as POSCAR:
```
MgAg2
1.0
8.543 0.000 0.000
0.000 5.130 0.000
-3.590 0.000 4.838
Mg Ag
4 8
direct
0.000 0.113 0.250
0.000 0.887 0.750
0.500 0.387 0.750
0.500 0.613 0.250
0.168 0.396 0.754
0.168 0.604 0.254
0.332 0.104 0.246
0.332 0.896 0.746
0.668 0.104 0.254
0.668 0.896 0.754
0.832 0.396 0.746
0.832 0.604 0.246
```